! B2S3 (PBE, relaxed); values from VASP
&SYSTEM
  ibrav = 0, nat = 40, ntyp = 2
/
ATOMIC_SPECIES
B 10.81 B.upf
S 32.06 S.upf
ATOMIC_POSITIONS crystal
B 0.781 0.459 0.741
B 0.686 0.255 0.099
B 0.219 0.541 0.259
B 0.186 0.745 0.401
B 0.099 0.947 0.990
B 0.814 0.255 0.599
B 0.314 0.745 0.901
B 0.599 0.053 0.510
B 0.281 0.541 0.759
B 0.901 0.053 0.010
B 0.966 0.579 0.319
B 0.034 0.421 0.681
B 0.401 0.947 0.490
B 0.466 0.421 0.181
B 0.534 0.579 0.819
B 0.719 0.459 0.241
S 0.520 0.301 0.098
S 0.446 0.488 0.743
S 0.203 0.678 0.833
S 0.764 0.119 0.515
S 0.946 0.512 0.757
S 0.797 0.322 0.167
S 0.469 0.089 0.570
S 0.554 0.512 0.257
S 0.054 0.488 0.243
S 0.297 0.437 0.179
S 0.703 0.563 0.821
S 0.480 0.699 0.902
S 0.969 0.911 0.930
S 0.031 0.089 0.070
S 0.297 0.678 0.333
S 0.264 0.881 0.985
S 0.203 0.437 0.679
S 0.531 0.911 0.430
S 0.020 0.699 0.402
S 0.980 0.301 0.598
S 0.736 0.119 0.015
S 0.703 0.322 0.667
S 0.236 0.881 0.485
S 0.797 0.563 0.321
CELL_PARAMETERS angstrom
10.807 0.000 0.000
0.000 4.546 0.000
0.000 0.704 19.263
! Energy above the lowest structure with this stoichiometry in eV per atom: 0.007
! Energy relative to the elements in eV/atom: -0.729